# GGA+U CaTb4Al2Fe2O12, optimized geometry
# ΔH_f (0 K) = -65.898 eV per formula unit
data_CaTb4Al2Fe2O12
_cell_length_a 6.143
_cell_length_b 6.255
_cell_length_c 7.081
_cell_angle_alpha 90.35
_cell_angle_beta 94.47
_cell_angle_gamma 91.99
_space_group_name_H-M_alt 'P 1'
_space_group_IT_number 1
loop_
_space_group_symop_operation_xyz
'x,y,z'
loop_
_atom_site_label
_atom_site_fract_x
_atom_site_fract_y
_atom_site_fract_z
_atom_site_occupancy
Ca1 0.000 0.000 0.000 1
Tb1 0.423 0.361 0.544 1
Tb2 0.505 0.182 0.016 1
Tb3 0.670 0.667 0.101 1
Tb4 0.817 0.897 0.545 1
Al1 0.247 0.829 0.329 1
Al2 0.965 0.395 0.787 1
Fe1 0.353 0.769 0.776 1
Fe2 0.901 0.314 0.320 1
O1 0.001 0.663 0.333 1
O2 0.030 0.675 0.755 1
O3 0.180 0.100 0.383 1
O4 0.182 0.201 0.792 1
O5 0.328 0.847 0.090 1
O6 0.457 0.741 0.496 1
O7 0.516 0.492 0.840 1
O8 0.539 0.408 0.259 1
O9 0.658 0.935 0.835 1
O10 0.740 0.001 0.239 1
O11 0.789 0.278 0.589 1
O12 0.877 0.349 0.020 1